First-principles (meta-GGA r2SCAN) data for a relaxed structure of SmB4Rh4, as listed in the Materials Project database.

Unit cell a=5.331 b=5.331 c=7.471 alpha=90.00 beta=90.00 gamma=90.00
Fractional coordinates of all 18 atoms:
1 Sm 0.750 0.250 0.250
2 Sm 0.250 0.750 0.750
3 B 0.250 0.080 0.099
4 B 0.250 0.420 0.099
5 B 0.580 0.750 0.401
6 B 0.920 0.750 0.401
7 B 0.080 0.250 0.599
8 B 0.420 0.250 0.599
9 B 0.750 0.580 0.901
10 B 0.750 0.920 0.901
11 Rh 0.002 0.750 0.106
12 Rh 0.498 0.750 0.106
13 Rh 0.250 0.998 0.394
14 Rh 0.250 0.502 0.394
15 Rh 0.750 0.002 0.606
16 Rh 0.750 0.498 0.606
17 Rh 0.998 0.250 0.894
18 Rh 0.502 0.250 0.894

VASP energy in eV per formula unit: -161.3
Formation enthalpy at 0 K in kJ/mol of atoms: -60
Space-group type: No. 137

=====

First-principles (meta-GGA r2SCAN) data for a relaxed structure of ReN2, as listed in the Materials Project database.

Unit cell a=3.683 b=3.683 c=5.747 alpha=84.54 beta=84.54 gamma=45.12
Fractional coordinates of all 6 atoms:
1 Re 0.674 0.674 0.769
2 Re 0.326 0.326 0.231
3 N 0.372 0.372 0.864
4 N 0.628 0.628 0.136
5 N 0.903 0.903 0.471
6 N 0.097 0.097 0.529

VASP energy in eV per formula unit: -70.4
Formation enthalpy at 0 K in kJ/mol of atoms: 7
Space-group type: No. 12